[1]
4
Lattice="0.0000 2.7160 2.7160 2.7160 0.0000 2.7160 2.7160 2.7160 0.0000" Properties=species:S:1:pos:R:3 comment="BeSiNi2 | the Materials Project | PBE-GGA | relaxed" polymorph_energy_ev_per_fu=0.00 delta_e_f_ev_per_atom=-0.53 pbc="T T T"
Be 0.0000 0.0000 0.0000
Si 2.7160 2.7160 2.7160
Ni 1.3580 1.3580 1.3580
Ni 4.0740 4.0740 4.0740

***

[2]
18
Lattice="4.9459 0.0000 0.0000 0.0000 4.9459 0.0000 0.0000 0.0000 9.9638" Properties=species:S:1:pos:R:3 comment="Tm2TeO6 | the Materials Project | PBE-GGA | relaxed" polymorph_energy_ev_per_fu=0.45 delta_e_f_ev_per_atom=-3.00 corrected_energy_ev_per_cell=-137.6 pbc="T T T"
Tm 0.0000 0.0000 1.6487
Tm 0.0000 0.0000 8.3151
Tm 2.4729 2.4729 3.3332
Tm 2.4729 2.4729 6.6307
Te 0.0000 0.0000 4.9819
Te 2.4729 2.4729 0.0000
O 0.9113 0.9113 3.5080
O 0.9113 0.9113 6.4558
O 1.0839 1.0839 0.0000
O 1.3891 3.5568 4.9819
O 1.5616 3.3843 1.4739
O 1.5616 3.3843 8.4899
O 3.3843 1.5616 1.4739
O 3.3843 1.5616 8.4899
O 3.5568 1.3891 4.9819
O 3.8620 3.8620 0.0000
O 4.0346 4.0346 3.5080
O 4.0346 4.0346 6.4558

***

[3]
12
Lattice="6.4691 -1.9004 0.0000 6.4691 1.9004 0.0000 -2.9401 0.0000 11.2623" Properties=species:S:1:pos:R:3 comment="CeEr4S7 | the Materials Project | PBE-GGA | relaxed" delta_e_f_ev_per_atom=-2.31 corrected_energy_ev_per_cell=-80.9 pbc="T T T"
Ce 0.0000 0.0000 0.0000
Er 0.1778 0.0000 8.6222
Er 6.4373 0.0000 4.4211
Er 9.5457 0.0000 1.8051
Er 9.7847 0.0000 6.5041
S 1.2665 0.0000 2.6225
S 1.4019 0.0000 5.9514
S 4.6983 0.0000 0.9389
S 5.2053 0.0000 7.0910
S 5.4880 0.0000 10.4585
S 8.5726 0.0000 8.8749
S 10.9658 0.0000 4.1066

***

[4]
10
Lattice="6.7487 -1.6327 0.0000 6.7487 1.6327 0.0000 -5.5120 0.0000 8.0107" Properties=species:S:1:pos:R:3 comment="Mo2As3 | the Materials Project | PBE-GGA | relaxed" delta_e_f_ev_per_atom=-0.27 pbc="T T T"
Mo 0.0046 0.0000 2.9254
Mo 2.6936 0.0000 1.0280
Mo 5.2918 0.0000 6.9827
Mo 7.9809 0.0000 5.0853
As -3.3365 0.0000 6.5240
As 2.5341 0.0000 3.6287
As 0.5344 0.0000 6.9789
As 7.4510 0.0000 1.0319
As 5.4513 0.0000 4.3821
As 11.3219 0.0000 1.4867

***

[5]
12
Lattice="7.8611 0.0000 0.0000 0.0000 3.8694 0.0000 -0.0144 0.0000 7.7817" Properties=species:S:1:pos:R:3 comment="ErS2 | the Materials Project | PBE-GGA | relaxed" delta_e_f_ev_per_atom=-2.03 corrected_energy_ev_per_cell=-75.7 pbc="T T T"
Er 1.7655 0.8318 2.8857
Er 1.7583 1.1028 6.7766
Er 6.0884 2.7665 1.0051
Er 6.0812 3.0375 4.8960
S 1.0234 2.8616 0.9741
S 1.0162 2.9424 4.8650
S 3.9007 2.5777 3.0182
S 3.8935 3.2264 6.9091
S 3.9532 0.6430 0.8726
S 3.9460 1.2917 4.7635
S 6.8305 0.9269 2.9168
S 6.8233 1.0078 6.8076

***

[6]
8
Lattice="6.7403 0.0000 0.0000 0.0000 6.7403 0.0000 0.0000 0.0000 4.6301" Properties=species:S:1:pos:R:3 comment="CaYMg6 | the Materials Project | PBE-GGA | relaxed" polymorph_energy_ev_per_fu=0.09 delta_e_f_ev_per_atom=-0.05 pbc="T T T"
Ca 0.0000 0.0000 0.0000
Y 3.3702 3.3702 0.0000
Mg 0.0000 3.3702 0.0000
Mg 1.7240 1.7240 2.3150
Mg 1.7240 5.0163 2.3150
Mg 3.3702 0.0000 0.0000
Mg 5.0163 1.7240 2.3150
Mg 5.0163 5.0163 2.3150

***

[7]
17
Lattice="6.1792 -7.4287 0.0000 6.1792 7.4287 0.0000 -3.0965 0.0000 5.8110" Properties=species:S:1:pos:R:3 comment="Hg5NCl11 | the Materials Project | PBE-GGA | relaxed" delta_e_f_ev_per_atom=-0.56 corrected_energy_ev_per_cell=-39.7 pbc="T T T"
Hg 0.0000 0.0000 0.0000
Hg 2.9182 2.5224 1.8186
Hg 2.9182 -2.5224 1.8186
Hg 6.3437 2.5224 3.9924
Hg 6.3437 -2.5224 3.9924
N 6.1792 0.0000 0.0000
Cl -0.3289 1.8567 5.4056
Cl 0.6277 0.0000 2.2501
Cl 3.0498 3.2514 4.0327
Cl -0.3289 -1.8567 5.4056
Cl 6.2120 3.2514 1.7783
Cl 4.6309 0.0000 2.9055
Cl 3.0498 -3.2514 4.0327
Cl 9.5907 1.8567 0.4054
Cl 6.2120 -3.2514 1.7783
Cl 8.6341 0.0000 3.5609
Cl 9.5907 -1.8567 0.4054

***

[8]
14
Lattice="4.4822 0.0000 0.0000 -0.0091 4.9994 0.0000 -2.2358 -0.7761 5.7691" Properties=species:S:1:pos:R:3 comment="Mn5Fe5C4 | the Materials Project | PBE-GGA | relaxed" delta_e_f_ev_per_atom=0.01 pbc="T T T"
Mn 0.0000 0.0000 0.0000
Mn -0.7003 2.4635 2.4966
Mn -0.0924 -0.0376 2.4970
Mn -0.7651 2.4188 4.9769
Mn 0.0010 -0.0938 4.9840
Fe 1.4628 1.7698 1.3255
Fe 2.2159 4.2635 1.3380
Fe 1.4512 3.1517 3.6426
Fe 2.2232 0.6509 3.6310
Fe 3.7078 2.4972 0.0166
C -1.2358 3.9172 3.7789
C 0.4264 3.4932 1.2055
C 0.4279 1.4205 3.7729
C 3.2533 0.9929 1.1978

***

[9]
120
Lattice="10.4254 0.0000 0.0000 0.0000 14.3772 0.0000 0.0000 0.0000 11.4049" Properties=species:S:1:pos:R:3 comment="In2Ge5N8 | the Materials Project | PBE-GGA | relaxed" delta_e_f_ev_per_atom=-0.12 corrected_energy_ev_per_cell=-777.3 pbc="T T T"
In 0.6820 0.8217 1.0642
In 0.6820 6.3669 6.7667
In 1.3570 0.1281 4.6613
In 1.3570 7.0605 10.3637
In 3.8557 7.3167 4.6613
In 3.8557 14.2491 10.3637
In 4.5307 8.0103 1.0642
In 4.5307 13.5555 6.7667
In 5.8947 0.8217 4.6382
In 5.8947 6.3669 10.3407
In 6.5697 0.1281 1.0412
In 6.5697 7.0605 6.7436
In 9.0684 7.3167 1.0412
In 9.0684 14.2491 6.7436
In 9.7434 8.0103 4.6382
In 9.7434 13.5555 10.3407
Ge 0.0870 2.3829 8.5434
Ge 0.0870 4.8057 2.8410
Ge 0.1452 10.2804 0.2137
Ge 0.1452 11.2854 5.9161
Ge 1.4965 7.6768 2.0357
Ge 1.4965 13.8890 7.7381
Ge 2.5530 10.3150 3.8470
Ge 2.5530 11.2508 9.5495
Ge 2.5912 9.5517 6.8777
Ge 2.5912 12.0141 1.1753
Ge 2.6215 2.3631 6.8777
Ge 2.6215 4.8255 1.1753
Ge 2.6597 3.1264 3.8470
Ge 2.6597 4.0622 9.5495
Ge 3.7162 0.4882 2.0357
Ge 3.7162 6.7004 7.7381
Ge 5.0675 3.0918 0.2137
Ge 5.0675 4.0968 5.9161
Ge 5.1257 9.5715 8.5434
Ge 5.1257 11.9943 2.8410
Ge 5.2997 2.3829 8.5639
Ge 5.2997 4.8057 2.8615
Ge 5.3579 10.2804 5.4888
Ge 5.3579 11.2854 11.1912
Ge 6.7092 7.6768 3.6668
Ge 6.7092 13.8890 9.3692
Ge 7.7657 10.3150 1.8554
Ge 7.7657 11.2508 7.5579
Ge 7.8039 9.5517 10.2296
Ge 7.8039 12.0141 4.5272
Ge 7.8341 2.3631 10.2296
Ge 7.8341 4.8255 4.5272
Ge 7.8724 3.1264 1.8554
Ge 7.8724 4.0622 7.5579
Ge 8.9288 0.4882 3.6668
Ge 8.9288 6.7004 9.3692
Ge 10.2802 3.0918 5.4888
Ge 10.2802 4.0968 11.1912
Ge 10.3384 9.5715 8.5639
Ge 10.3384 11.9943 2.8615
N 0.0554 0.5196 8.4618
N 0.0554 6.6690 2.7593
N 0.5255 8.5161 0.6374
N 0.5255 13.0497 6.3398
N 0.8949 3.0625 7.0211
N 0.8949 4.1261 1.3187
N 0.9425 3.3338 9.8906
N 0.9425 3.8548 4.1881
N 1.6912 10.3607 5.5026
N 1.6912 11.2051 11.2050
N 1.7317 9.9961 8.4677
N 1.7317 11.5697 2.7652
N 2.5337 1.3693 3.1864
N 2.5337 5.8193 8.8888
N 2.5467 0.5456 6.5672
N 2.5467 6.6430 0.8648
N 2.6660 7.7342 6.5672
N 2.6660 13.8316 0.8648
N 2.6790 8.5579 3.1864
N 2.6790 13.0079 8.8888
N 3.4810 2.8075 8.4677
N 3.4810 4.3811 2.7652
N 3.5215 3.1721 5.5026
N 3.5215 4.0165 11.2050
N 4.2702 10.5224 9.8906
N 4.2702 11.0434 4.1881
N 4.3178 10.2511 7.0211
N 4.3178 11.3146 1.3187
N 4.6872 1.3275 0.6374
N 4.6872 5.8611 6.3398
N 5.1573 7.7082 8.4618
N 5.1573 13.8576 2.7593
N 5.2681 0.5196 8.6455
N 5.2681 6.6690 2.9431
N 5.7382 8.5161 5.0651
N 5.7382 13.0497 10.7675
N 6.1076 3.0625 10.0862
N 6.1076 4.1261 4.3838
N 6.1552 3.3338 7.2168
N 6.1552 3.8548 1.5143
N 6.9039 10.3607 0.1999
N 6.9039 11.2051 5.9023
N 6.9444 9.9961 8.6397
N 6.9444 11.5697 2.9372
N 7.7464 1.3693 2.5161
N 7.7464 5.8193 8.2185
N 7.7594 0.5456 10.5401
N 7.7594 6.6430 4.8376
N 7.8787 7.7342 10.5401
N 7.8787 13.8316 4.8376
N 7.8917 8.5579 2.5161
N 7.8917 13.0079 8.2185
N 8.6937 2.8075 8.6397
N 8.6937 4.3811 2.9372
N 8.7342 3.1721 0.1999
N 8.7342 4.0165 5.9023
N 9.4829 10.5224 7.2168
N 9.4829 11.0434 1.5143
N 9.5305 10.2511 10.0862
N 9.5305 11.3146 4.3838
N 9.8999 1.3275 5.0651
N 9.8999 5.8611 10.7675
N 10.3700 7.7082 8.6455
N 10.3700 13.8576 2.9431

***

[10]
17
Lattice="6.4671 -7.8747 0.0000 6.4671 7.8747 0.0000 -3.3316 0.0000 6.1109" Properties=species:S:1:pos:R:3 comment="TlHg5Br11 | the Materials Project | PBE-GGA | relaxed" delta_e_f_ev_per_atom=-0.85 corrected_energy_ev_per_cell=-36.3 pbc="T T T"
Tl 0.0000 0.0000 0.0000
Hg 0.0743 2.6260 4.1851
Hg 0.0743 -2.6260 4.1851
Hg 6.4671 0.0000 0.0000
Hg 9.5283 2.6260 1.9259
Hg 9.5283 -2.6260 1.9259
Br -1.6658 0.0000 3.0555
Br 3.1298 4.4407 4.2676
Br 3.5528 1.9605 0.4471
Br 6.4728 4.4407 1.8434
Br 2.5194 0.0000 3.7213
Br 3.5528 -1.9605 0.4471
Br 6.0498 1.9605 5.6638
Br 7.0832 0.0000 2.3897
Br 3.1298 -4.4407 4.2676
Br 6.0498 -1.9605 5.6638
Br 6.4728 -4.4407 1.8434

***

[11]
76
Lattice="6.8949 0.0000 0.0000 0.0000 6.8949 0.0000 0.0000 0.0000 21.8503" Properties=species:S:1:pos:R:3 comment="Ni11As8 | the Materials Project | PBE-GGA | relaxed" delta_e_f_ev_per_atom=-0.31 pbc="T T T"
Ni 0.4494 0.8360 7.1807
Ni 0.4919 4.3231 7.1715
Ni 0.8360 0.4494 14.6696
Ni 0.8435 4.7558 14.6639
Ni 0.8471 0.8471 0.0000
Ni 0.8448 4.3171 21.4541
Ni 0.8697 2.6027 15.9915
Ni 0.8756 2.9556 1.7089
Ni 0.8772 5.6430 1.7241
Ni 1.2519 6.0178 9.2011
Ni 1.3083 2.6040 9.2013
Ni 2.1392 6.0514 18.1115
Ni 2.1955 2.5703 18.1117
Ni 2.5703 2.1955 3.7385
Ni 2.5718 6.4031 3.7536
Ni 2.5778 6.0502 11.3213
Ni 2.6027 0.8697 5.8588
Ni 2.6003 4.2946 5.4626
Ni 2.6040 1.3083 12.6489
Ni 2.6114 3.8968 12.6433
Ni 2.9556 0.8756 20.1413
Ni 2.9981 4.2835 20.1321
Ni 3.8968 2.6114 9.2070
Ni 3.9393 6.0193 9.2162
Ni 4.2835 2.9981 1.7181
Ni 4.2910 5.5866 1.7238
Ni 4.2946 2.6003 16.3877
Ni 4.2922 6.0253 16.7839
Ni 4.3171 0.8448 0.3962
Ni 4.3231 0.4919 14.6788
Ni 4.3246 4.6994 14.6636
Ni 4.6994 4.3246 7.1866
Ni 4.7558 0.8435 7.1864
Ni 5.5866 4.2910 20.1265
Ni 5.6430 0.8772 20.1262
Ni 6.0178 1.2519 12.6492
Ni 6.0193 3.9393 12.6341
Ni 6.0253 4.2922 5.0664
Ni 6.0502 2.5778 10.5289
Ni 6.0478 6.0478 10.9251
Ni 6.0514 2.1392 3.7388
Ni 6.0589 6.4456 3.7444
Ni 6.4031 2.5718 18.0966
Ni 6.4456 6.0589 18.1058
As 0.8361 2.5396 5.4674
As 0.8379 6.0571 5.4626
As 0.8447 4.3141 19.1054
As 0.8525 0.8629 19.1996
As 0.8629 0.8525 2.6506
As 0.8667 2.6028 13.6428
As 0.9003 0.9003 10.9251
As 0.9078 4.2835 10.9299
As 2.5396 0.8361 16.3829
As 2.5472 4.3478 16.3877
As 2.5808 6.0503 13.6700
As 2.5845 4.3000 2.8120
As 2.5950 4.3104 8.1132
As 2.6028 0.8667 8.2074
As 2.6096 2.6096 0.0000
As 2.6114 5.9871 21.8455
As 4.2835 0.9078 10.9203
As 4.2853 4.2853 10.9251
As 4.2921 6.0283 19.1325
As 4.3000 2.5845 19.0383
As 4.3104 2.5950 13.7371
As 4.3141 0.8447 2.7449
As 4.3478 2.5472 5.4626
As 4.3553 6.0589 5.4578
As 5.9871 2.6114 0.0048
As 5.9946 5.9946 0.0000
As 6.0283 4.2921 2.7177
As 6.0320 6.0425 13.5757
As 6.0425 6.0320 8.2745
As 6.0503 2.5808 8.1803
As 6.0571 0.8379 16.3877
As 6.0589 4.3553 16.3925

***

[12]
20
Lattice="6.0052 0.0000 0.0000 0.0125 6.0822 0.0000 0.0412 0.0094 8.5693" Properties=species:S:1:pos:R:3 comment="BaCaTbBiO6 | the Materials Project | PBE-GGA | relaxed" polymorph_energy_ev_per_fu=0.00 delta_e_f_ev_per_atom=-2.80 corrected_energy_ev_per_cell=-140.3 pbc="T T T"
Ba 0.0447 0.2075 2.1389
Ba 6.0141 5.8841 6.4304
Ca 2.9593 3.2838 2.1247
Ca 3.0995 2.8079 6.4447
Tb 0.0063 3.0411 0.0000
Tb 3.0232 0.0047 4.2847
Bi 0.0268 3.0458 4.2847
Bi 3.0026 0.0000 0.0000
O 0.7054 3.0681 6.3542
O 1.2538 4.7580 3.9617
O 1.3068 4.8363 0.2660
O 1.7530 1.8552 3.7419
O 1.8635 1.7801 0.5069
O 2.6331 0.4064 6.4932
O 3.4258 5.6852 2.0761
O 4.1953 4.3115 8.0624
O 4.3059 4.2365 4.8274
O 4.7520 1.2553 8.3033
O 4.8051 1.3336 4.6076
O 5.3535 3.0236 2.2151

***

[13]
8
Lattice="5.7833 0.0000 0.0000 -2.6552 7.5265 0.0000 -1.3318 -3.0293 8.3439" Properties=species:S:1:pos:R:3 comment="CsPb2Cl5 | the Materials Project | PBE-GGA | relaxed" polymorph_energy_ev_per_fu=0.41 delta_e_f_ev_per_atom=-1.72 corrected_energy_ev_per_cell=-31.3 pbc="T T T"
Cs 0.0000 0.0000 0.0000
Pb -0.8937 3.9790 4.6550
Pb 1.2936 0.7215 4.8420
Cl -0.6311 1.5806 3.0157
Cl -1.2721 6.0885 2.8290
Cl -0.5496 1.7455 6.6191
Cl 1.6052 -1.5253 6.7432
Cl 2.1240 3.5956 4.9235